[1]
This record from Materials Project describes a relaxed CsH crystal. The functional is r²SCAN.

a b c (Å): 4.5131 4.5131 4.5131
angles (deg): 60.00 60.00 60.00
Element x y z (fractional)
Cs (0.0000, 0.0000, 0.0000)
H (0.5000, 0.5000, 0.5000)

Computed properties:
SG: Fm-3m, No. 225
Energy of formation from the pure elements, kJ/mol of atoms: -23.9
Theoretical density, Mg/m³: 3.42

=====

[2]
This record from Materials Project describes a relaxed CsH crystal. The functional is r²SCAN.

a b c (Å): 3.8184 3.8184 3.8184
angles (deg): 90.00 90.00 90.00
Element x y z (fractional)
Cs (0.0000, 0.0000, 0.0000)
H (0.5000, 0.5000, 0.5000)

Computed properties:
SG: Pm-3m, No. 221
Energy of formation from the pure elements, kJ/mol of atoms: -22.3
Theoretical density, Mg/m³: 3.99

=====

[3]
This record from Materials Project describes a relaxed Cs4Mg3H10 crystal. The functional is r²SCAN.

a b c (Å): 7.9987 7.9987 13.6929
angles (deg): 90.00 90.00 134.10
Element x y z (fractional)
Cs (0.7543, 0.2457, 0.8941)
Cs (0.2457, 0.7543, 0.1059)
Cs (0.7457, 0.2543, 0.3941)
Cs (0.2543, 0.7457, 0.6059)
Cs (0.9537, 0.0463, 0.6393)
Cs (0.0463, 0.9537, 0.3607)
Cs (0.5463, 0.4537, 0.1393)
Cs (0.4537, 0.5463, 0.8607)
Mg (0.6176, 0.3824, 0.6559)
Mg (0.3824, 0.6176, 0.3441)
Mg (0.8824, 0.1176, 0.1559)
Mg (0.1176, 0.8824, 0.8441)
Mg (0.5000, 0.5000, 0.5000)
Mg (0.0000, 0.0000, 0.0000)
H (0.3891, 0.1997, 0.5395)
H (0.1997, 0.3891, 0.4605)
H (0.6997, 0.8891, 0.0395)
H (0.8891, 0.6997, 0.9605)
H (0.6109, 0.8003, 0.4605)
H (0.8003, 0.6109, 0.5395)
H (0.3003, 0.1109, 0.9605)
H (0.1109, 0.3003, 0.0395)
H (0.7455, 0.2545, 0.6469)
H (0.2545, 0.7455, 0.3531)
H (0.7545, 0.2455, 0.1469)
H (0.2455, 0.7545, 0.8531)
H (0.9769, 0.0231, 0.8583)
H (0.0231, 0.9769, 0.1417)
H (0.5231, 0.4769, 0.3583)
H (0.4769, 0.5231, 0.6417)
H (0.3589, 0.1411, 0.7500)
H (0.1411, 0.3589, 0.2500)
H (0.6411, 0.8589, 0.2500)
H (0.8589, 0.6411, 0.7500)

Computed properties:
SG: Cmce, No. 64
Energy of formation from the pure elements, kJ/mol of atoms: -32.6
Theoretical density, Mg/m³: 3.24

=====

[4]
This record from Materials Project describes a relaxed Cs3MgH5 crystal. The functional is r²SCAN.

a b c (Å): 8.6926 8.6926 8.6926
angles (deg): 122.82 122.82 85.19
Element x y z (fractional)
Cs (0.1786, 0.6786, 0.8572)
Cs (0.8214, 0.3214, 0.1428)
Cs (0.6786, 0.8214, 0.5000)
Cs (0.3214, 0.1786, 0.5000)
Cs (0.2500, 0.2500, 0.0000)
Cs (0.7500, 0.7500, 0.0000)
Mg (0.2500, 0.7500, 0.5000)
Mg (0.7500, 0.2500, 0.5000)
H (0.4627, 0.9627, 0.7510)
H (0.2117, 0.7117, 0.2490)
H (0.9627, 0.2117, 0.5000)
H (0.7117, 0.4627, 0.5000)
H (0.5373, 0.0373, 0.2490)
H (0.7883, 0.2883, 0.7510)
H (0.0373, 0.7883, 0.5000)
H (0.2883, 0.5373, 0.5000)
H (0.5000, 0.5000, 0.0000)
H (0.0000, 0.0000, 0.0000)

Computed properties:
SG: I4/mcm, No. 140
Energy of formation from the pure elements, kJ/mol of atoms: -29.7
Theoretical density, Mg/m³: 3.21

=====

[5]
This record from Materials Project describes a relaxed Cs3MnH5 crystal. The functional is r²SCAN.

a b c (Å): 8.6162 8.6162 8.6161
angles (deg): 122.11 122.11 86.38
Element x y z (fractional)
Cs (0.2500, 0.2500, 0.0000)
Cs (0.7500, 0.7500, 0.0000)
Cs (0.1815, 0.6815, 0.8629)
Cs (0.8185, 0.3186, 0.1371)
Cs (0.6814, 0.8186, 0.5000)
Cs (0.3186, 0.1814, 0.5000)
Mn (0.2500, 0.7500, 0.5000)
Mn (0.7500, 0.2500, 0.5000)
H (0.4548, 0.9548, 0.7402)
H (0.2146, 0.7146, 0.2599)
H (0.9548, 0.2146, 0.5000)
H (0.7146, 0.4548, 0.5000)
H (0.5452, 0.0452, 0.2598)
H (0.7854, 0.2854, 0.7402)
H (0.0452, 0.7854, 0.5000)
H (0.2854, 0.5452, 0.5000)
H (0.5000, 0.5000, 0.0000)
H (0.0000, 0.0000, 0.0000)

Computed properties:
SG: I4/mcm, No. 140
Energy of formation from the pure elements, kJ/mol of atoms: -25.3
Theoretical density, Mg/m³: 3.49

=====

[6]
This record from Materials Project describes a relaxed CsMoP2HO9 crystal. The functional is r²SCAN.

a b c (Å): 14.1402 6.2662 9.7656
angles (deg): 79.96 90.00 90.00
Element x y z (fractional)
Cs (0.3295, 0.8164, 0.3399)
Cs (0.8295, 0.1836, 0.1601)
Cs (0.6705, 0.1836, 0.6601)
Cs (0.1705, 0.8164, 0.8399)
Mo (0.0367, 0.7047, 0.2166)
Mo (0.5367, 0.2953, 0.2834)
Mo (0.9633, 0.2953, 0.7834)
Mo (0.4633, 0.7047, 0.7166)
P (0.3711, 0.3956, 0.0194)
P (0.8711, 0.6044, 0.4806)
P (0.6289, 0.6044, 0.9806)
P (0.1289, 0.3956, 0.5194)
P (0.4103, 0.1873, 0.7872)
P (0.9103, 0.8127, 0.7128)
P (0.5897, 0.8127, 0.2128)
P (0.0897, 0.1873, 0.2872)
H (0.2717, 0.3085, 0.6029)
H (0.7717, 0.6915, 0.8971)
H (0.7283, 0.6915, 0.3971)
H (0.2283, 0.3085, 0.1029)
O (0.0946, 0.5987, 0.4288)
O (0.5946, 0.4013, 0.0712)
O (0.9054, 0.4013, 0.5712)
O (0.4054, 0.5987, 0.9288)
O (0.0935, 0.3486, 0.6664)
O (0.5935, 0.6514, 0.8336)
O (0.9065, 0.6514, 0.3336)
O (0.4065, 0.3486, 0.1664)
O (0.2617, 0.3952, 0.0174)
O (0.7617, 0.6048, 0.4826)
O (0.7383, 0.6048, 0.9826)
O (0.2383, 0.3952, 0.5174)
O (0.0963, 0.1925, 0.4498)
O (0.5963, 0.8075, 0.0502)
O (0.9037, 0.8075, 0.5502)
O (0.4037, 0.1925, 0.9498)
O (0.0302, 0.3851, 0.2238)
O (0.5302, 0.6149, 0.2762)
O (0.9698, 0.6149, 0.7762)
O (0.4698, 0.3851, 0.7238)
O (0.1863, 0.1805, 0.2288)
O (0.6863, 0.8195, 0.2712)
O (0.8137, 0.8195, 0.7712)
O (0.3137, 0.1805, 0.7288)
O (0.4718, 0.9891, 0.7803)
O (0.9718, 0.0109, 0.7197)
O (0.5282, 0.0109, 0.2197)
O (0.0282, 0.9891, 0.2803)
O (0.3499, 0.7382, 0.6587)
O (0.8499, 0.2618, 0.8413)
O (0.6501, 0.2618, 0.3413)
O (0.1501, 0.7382, 0.1587)
O (0.0274, 0.2312, 0.9309)
O (0.5274, 0.7688, 0.5691)
O (0.9726, 0.7688, 0.0691)
O (0.4726, 0.2312, 0.4309)

Computed properties:
SG: P2_1/c, No. 14
Energy of formation from the pure elements, kJ/mol of atoms: -215.0
Theoretical density, Mg/m³: 3.40

=====

[7]
This record from Materials Project describes a relaxed CsH5N2 crystal. The functional is r²SCAN.

a b c (Å): 5.3233 7.1754 9.9280
angles (deg): 90.00 90.00 90.00
Element x y z (fractional)
Cs (0.7500, 0.2202, 0.5712)
Cs (0.7500, 0.7202, 0.9288)
Cs (0.2500, 0.7798, 0.4288)
Cs (0.2500, 0.2798, 0.0712)
H (0.7500, 0.2866, 0.8685)
H (0.7500, 0.7866, 0.6315)
H (0.2500, 0.7134, 0.1315)
H (0.2500, 0.2134, 0.3685)
H (0.7500, 0.1254, 0.9793)
H (0.7500, 0.6254, 0.5207)
H (0.2500, 0.8746, 0.0207)
H (0.2500, 0.3746, 0.4793)
H (0.7500, 0.1344, 0.2558)
H (0.7500, 0.6344, 0.2442)
H (0.2500, 0.8656, 0.7442)
H (0.2500, 0.3656, 0.7558)
H (0.5925, 0.9493, 0.2063)
H (0.9075, 0.4493, 0.2937)
H (0.0925, 0.0507, 0.7937)
H (0.4075, 0.5507, 0.7063)
H (0.4075, 0.0507, 0.7937)
H (0.0925, 0.5507, 0.7063)
H (0.9075, 0.9493, 0.2063)
H (0.5925, 0.4493, 0.2937)
N (0.7500, 0.1440, 0.8769)
N (0.7500, 0.6440, 0.6231)
N (0.2500, 0.8560, 0.1231)
N (0.2500, 0.3560, 0.3769)
N (0.7500, 0.4925, 0.2409)
N (0.7500, 0.9925, 0.2591)
N (0.2500, 0.5075, 0.7591)
N (0.2500, 0.0075, 0.7409)

Computed properties:
SG: Pnma, No. 62
Energy of formation from the pure elements, kJ/mol of atoms: -38.3
Theoretical density, Mg/m³: 2.91

=====

[8]
This record from Materials Project describes a relaxed CsHO crystal. The functional is r²SCAN.

a b c (Å): 6.0878 6.0878 4.5043
angles (deg): 90.00 90.00 41.59
Element x y z (fractional)
Cs (0.1384, 0.1384, 0.2633)
Cs (0.8616, 0.8616, 0.7633)
H (0.4670, 0.4670, 0.3924)
H (0.5330, 0.5330, 0.8924)
O (0.4083, 0.4083, 0.2346)
O (0.5917, 0.5917, 0.7346)

Computed properties:
SG: Cmc2_1, No. 36
Energy of formation from the pure elements, kJ/mol of atoms: -135.0
Theoretical density, Mg/m³: 4.49

=====

[9]
This record from Materials Project describes a relaxed CsPH2O2 crystal. The functional is r²SCAN.

a b c (Å): 6.6645 7.9576 8.3850
angles (deg): 90.00 90.00 90.00
Element x y z (fractional)
Cs (0.2500, 0.3645, 0.1342)
Cs (0.2500, 0.1355, 0.6342)
Cs (0.7500, 0.6355, 0.8658)
Cs (0.7500, 0.8645, 0.3658)
P (0.7500, 0.1711, 0.8886)
P (0.7500, 0.3289, 0.3886)
P (0.2500, 0.8289, 0.1114)
P (0.2500, 0.6711, 0.6114)
H (0.7500, 0.0669, 0.0259)
H (0.7500, 0.4331, 0.5259)
H (0.2500, 0.9331, 0.9741)
H (0.2500, 0.5669, 0.4741)
H (0.7500, 0.0493, 0.7644)
H (0.7500, 0.4507, 0.2644)
H (0.2500, 0.9507, 0.2356)
H (0.2500, 0.5493, 0.7356)
O (0.5559, 0.2667, 0.8824)
O (0.9441, 0.2333, 0.3824)
O (0.0559, 0.7333, 0.1176)
O (0.4441, 0.7667, 0.6176)
O (0.4441, 0.7333, 0.1176)
O (0.0559, 0.7667, 0.6176)
O (0.9441, 0.2667, 0.8824)
O (0.5559, 0.2333, 0.3824)

Computed properties:
SG: Pnma, No. 62
Energy of formation from the pure elements, kJ/mol of atoms: -140.2
Theoretical density, Mg/m³: 2.96

=====

[10]
This record from Materials Project describes a relaxed CsZn2P2HO8 crystal. The functional is r²SCAN.

a b c (Å): 8.6097 8.6097 7.8019
angles (deg): 90.00 90.00 135.27
Element x y z (fractional)
Cs (0.5000, 0.5000, 0.5000)
Cs (0.0000, 0.0000, 0.0000)
Zn (0.4819, 0.0181, 0.7500)
Zn (0.0181, 0.4819, 0.2500)
Zn (0.5181, 0.9819, 0.2500)
Zn (0.9819, 0.5181, 0.7500)
P (0.1422, 0.8578, 0.4576)
P (0.8578, 0.1422, 0.5424)
P (0.3578, 0.6422, 0.9576)
P (0.6422, 0.3578, 0.0424)
H (0.0000, 0.0000, 0.5000)
H (0.5000, 0.5000, 0.0000)
O (0.2025, 0.7975, 0.2980)
O (0.7975, 0.2025, 0.7020)
O (0.2975, 0.7025, 0.7980)
O (0.7025, 0.2975, 0.2020)
O (0.9634, 0.6473, 0.5597)
O (0.6473, 0.9634, 0.4403)
O (0.1473, 0.4634, 0.0597)
O (0.4634, 0.1473, 0.9403)
O (0.0366, 0.3527, 0.4403)
O (0.3527, 0.0366, 0.5597)
O (0.8527, 0.5366, 0.9403)
O (0.5366, 0.8527, 0.0597)
O (0.0520, 0.9480, 0.3885)
O (0.9480, 0.0520, 0.6115)
O (0.4480, 0.5520, 0.8885)
O (0.5520, 0.4480, 0.1115)

Computed properties:
SG: Cmce, No. 64
Energy of formation from the pure elements, kJ/mol of atoms: -209.1
Theoretical density, Mg/m³: 3.71